(1)
AlBi4Cl4 PBE relaxed; space group = P6_3
1.0
6.8963 10.4876 13.4946
-18.0091 -3.8987 -0.3515
2.2321 -10.9772 7.3904
Al Bi Cl
12 48 48
direct
0.0000 0.0000 0.1303
0.0000 0.0000 0.6303
0.0548 0.6939 0.4125
0.3061 0.3609 0.4125
0.6391 0.9452 0.4125
0.9452 0.3061 0.9125
0.6939 0.6391 0.9125
0.3609 0.0548 0.9125
0.6667 0.3333 0.2190
0.3333 0.6667 0.7190
0.6667 0.3333 0.6877
0.3333 0.6667 0.1877
0.0511 0.3157 0.5505
0.6843 0.7354 0.5505
0.2646 0.9489 0.5505
0.9489 0.6843 0.0505
0.3157 0.2646 0.0505
0.7354 0.0511 0.0505
0.9583 0.4241 0.2816
0.5759 0.5341 0.2816
0.4659 0.0417 0.2816
0.0417 0.5759 0.7816
0.4241 0.4659 0.7816
0.5341 0.9583 0.7816
0.8579 0.2312 0.2729
0.7688 0.6267 0.2729
0.3733 0.1421 0.2729
0.1421 0.7688 0.7729
0.2312 0.3733 0.7729
0.6267 0.8579 0.7729
0.8561 0.2239 0.5025
0.7761 0.6322 0.5025
0.3678 0.1439 0.5025
0.1439 0.7761 0.0025
0.2239 0.3678 0.0025
0.6322 0.8561 0.0025
0.0540 0.3263 0.2299
0.6737 0.7277 0.2299
0.2723 0.9460 0.2299
0.9460 0.6737 0.7299
0.3263 0.2723 0.7299
0.7277 0.0540 0.7299
0.1247 0.4602 0.3958
0.5398 0.6645 0.3958
0.3355 0.8753 0.3958
0.8753 0.5398 0.8958
0.4602 0.3355 0.8958
0.6645 0.1247 0.8958
0.9571 0.4169 0.5123
0.5831 0.5402 0.5123
0.4598 0.0429 0.5123
0.0429 0.5831 0.0123
0.4169 0.4598 0.0123
0.5402 0.9571 0.0123
0.9806 0.1822 0.3841
0.8178 0.7984 0.3841
0.2016 0.0194 0.3841
0.0194 0.8178 0.8841
0.1822 0.2016 0.8841
0.7984 0.9806 0.8841
0.7806 0.4423 0.1659
0.5577 0.3384 0.1659
0.6616 0.2194 0.1659
0.2194 0.5577 0.6659
0.4423 0.6616 0.6659
0.3384 0.7806 0.6659
0.9303 0.5838 0.4042
0.4162 0.3465 0.4042
0.6535 0.0697 0.4042
0.0697 0.4162 0.9042
0.5838 0.6535 0.9042
0.3465 0.9303 0.9042
0.7814 0.4411 0.6349
0.5589 0.3403 0.6349
0.6597 0.2186 0.6349
0.2186 0.5589 0.1349
0.4411 0.6597 0.1349
0.3403 0.7814 0.1349
0.1298 0.6761 0.5227
0.3239 0.4537 0.5227
0.5463 0.8702 0.5227
0.8702 0.3239 0.0227
0.6761 0.5463 0.0227
0.4537 0.1298 0.0227
0.8838 0.2900 0.7703
0.7100 0.5937 0.7703
0.4063 0.1162 0.7703
0.1162 0.7100 0.2703
0.2900 0.4063 0.2703
0.5937 0.8838 0.2703
0.6667 0.3333 0.8487
0.3333 0.6667 0.3487
0.0000 0.0000 0.9685
0.0000 0.0000 0.4685
0.0984 0.1200 0.1836
0.8800 0.9784 0.1836
0.0216 0.9016 0.1836
0.9016 0.8800 0.6836
0.1200 0.0216 0.6836
0.9784 0.0984 0.6836
0.6667 0.3333 0.3785
0.3333 0.6667 0.8785
0.0391 0.7982 0.4526
0.2018 0.2409 0.4526
0.7591 0.9609 0.4526
0.9609 0.2018 0.9526
0.7982 0.7591 0.9526
0.2409 0.0391 0.9526

(2)
MgSi PBE relaxed; space group = P-1
1.0
-5.2475 0.0000 0.0000
1.2473 5.9272 0.0000
-0.0473 -0.3365 -14.3433
Mg Si
12 12
direct
0.8886 0.3179 0.1136
0.2691 0.7087 0.4198
0.6003 0.5906 0.7551
0.9328 0.8257 0.0882
0.2113 0.2007 0.4480
0.5352 0.0807 0.7810
0.4648 0.9193 0.2190
0.7887 0.7993 0.5520
0.1114 0.6821 0.8864
0.3997 0.4094 0.2449
0.7309 0.2913 0.5802
0.0672 0.1743 0.9118
0.3729 0.6330 0.0632
0.6943 0.0698 0.3980
0.0176 0.9719 0.7295
0.3672 0.2073 0.0682
0.7129 0.4841 0.4019
0.0412 0.3830 0.7352
0.9824 0.0281 0.2705
0.3057 0.9302 0.6020
0.6271 0.3670 0.9368
0.9588 0.6170 0.2648
0.2871 0.5159 0.5980
0.6328 0.7927 0.9318

(3)
LiMo6S8 PBE relaxed; space group = P-1; energy relative to the lowest polymorph listed for this composition = 0 meV per atom
1.0
6.5317 0.0000 0.0000
0.5744 9.0334 0.0000
0.0704 0.0239 9.4416
Li Mo S
2 12 16
direct
0.0999 0.3033 0.2632
0.9001 0.6967 0.7368
0.2162 0.2707 0.6782
0.2172 0.7725 0.1769
0.4045 0.8678 0.4171
0.4532 0.5665 0.3433
0.4048 0.3653 0.9150
0.4501 0.0609 0.8442
0.5468 0.4335 0.6567
0.5955 0.1322 0.5829
0.5499 0.9391 0.1558
0.5952 0.6347 0.0850
0.7838 0.7293 0.3218
0.7828 0.2275 0.8231
0.1338 0.6937 0.4205
0.1314 0.1928 0.9225
0.2731 0.0102 0.6239
0.2151 0.0314 0.2503
0.2693 0.5092 0.1239
0.2151 0.5295 0.7507
0.3865 0.3182 0.4496
0.3895 0.8194 0.9527
0.6135 0.6818 0.5504
0.6105 0.1806 0.0473
0.7849 0.9686 0.7497
0.7269 0.9898 0.3761
0.7849 0.4705 0.2493
0.7307 0.4908 0.8761
0.8662 0.3063 0.5795
0.8686 0.8072 0.0775

(4)
PrAlCu4 PBE relaxed; space group = P-6m2
1.0
2.6714 -4.6270 0.0000
2.6714 4.6270 0.0000
0.0000 0.0000 4.0288
Pr Al Cu
1 1 4
direct
0.0000 0.0000 0.0000
0.3333 0.6667 0.0000
0.6667 0.3333 0.0000
0.5009 0.0018 0.5000
0.9982 0.4991 0.5000
0.5009 0.4991 0.5000

(5)
Mg16Al12Ru PBE relaxed; space group = R3m
1.0
7.6063 -4.3915 3.1053
-0.1099 8.4658 2.9258
-7.3865 -4.1377 2.9258
Mg Al Ru
16 12 1
direct
0.3184 0.5938 0.0000
0.9885 0.0000 0.0000
0.5678 0.2561 0.0000
0.0047 0.3563 0.0000
0.5678 0.0000 0.2561
0.6806 0.6725 0.2741
0.0081 0.6015 0.3275
0.0047 0.0000 0.3563
0.4066 0.7259 0.3985
0.7246 0.4062 0.4062
0.3184 0.0000 0.5938
0.0081 0.3275 0.6015
0.6484 0.6437 0.6437
0.6806 0.2741 0.6725
0.4066 0.3985 0.7259
0.3117 0.7439 0.7439
0.8105 0.6095 0.0000
0.6527 0.8078 0.0000
0.1845 0.8181 0.1794
0.3664 0.3612 0.1819
0.8449 0.1922 0.1922
0.3664 0.1819 0.3612
0.2010 0.3905 0.3905
0.8105 0.0000 0.6095
0.0052 0.8206 0.6388
0.6527 0.0000 0.8078
0.1845 0.1794 0.8181
0.0052 0.6388 0.8206
0.2696 0.0000 0.0000

(6)
Cs3Nb2AsSe11 PBE relaxed; space group = Cc
1.0
-6.4129 3.1117 -7.8735
-5.2326 -9.2221 -0.6104
-7.8401 2.9221 6.2360
Cs Nb As Se
6 4 2 22
direct
0.3552 0.2013 0.6548
0.2013 0.3552 0.1548
0.9554 0.8187 0.3964
0.8187 0.9554 0.8964
0.5589 0.7128 0.5674
0.7128 0.5589 0.0674
0.4580 0.9194 0.1694
0.2084 0.8053 0.9836
0.9194 0.4580 0.6694
0.8053 0.2084 0.4836
0.5885 0.2522 0.2275
0.2522 0.5885 0.7275
0.4361 0.1070 0.3251
0.1366 0.0435 0.9261
0.3785 0.6112 0.9111
0.8912 0.4683 0.4193
0.8066 0.1710 0.2354
0.4874 0.0993 0.9852
0.6112 0.3785 0.4111
0.1710 0.8066 0.7354
0.6639 0.8433 0.2249
0.0303 0.6943 0.0640
0.6943 0.0303 0.5640
0.0993 0.4874 0.4852
0.6985 0.3499 0.6816
0.4683 0.8912 0.9193
0.1870 0.9841 0.1424
0.9841 0.1870 0.6424
0.8433 0.6639 0.7249
0.8236 0.3084 0.8631
0.3084 0.8236 0.3631
0.0435 0.1366 0.4261
0.3499 0.6985 0.1816
0.1070 0.4361 0.8251

no.,E_form (eV per atom),total DFT energy (no corrections) (eV per atom),V (A^3/atom)
1,-1.1035,-3.797,36.55
2,0.0721,-3.476,18.59
3,-1.0313,-7.435,18.57
4,-0.2155,-4.369,16.60
5,-0.0317,-2.784,19.64
6,-1.0598,-4.637,34.22